A geometry-optimized Li15Mn8P8O32F8 structure. Source: the Materials Project, functional PBE+U.

a = 5.156 Å, b = 12.995 Å, c = 13.302 Å
α = 118.87°, β = 90.28°, γ = 90.45°
Fractional coordinates of all 71 atoms:
P (0.279, 0.919, 0.331)
O (0.082, 0.584, 0.666)
Li (0.705, 0.324, 0.148)
Mn (0.775, 0.607, 0.930)
F (0.020, 0.228, 0.009)
F (0.522, 0.270, 0.991)
F (0.531, 0.224, 0.498)
O (0.331, 0.046, 0.889)
F (0.976, 0.775, 0.002)
P (0.210, 0.920, 0.831)
F (0.031, 0.279, 0.504)
O (0.064, 0.055, 0.133)
O (0.844, 0.955, 0.608)
P (0.771, 0.077, 0.164)
O (0.781, 0.649, 0.296)
Li (0.272, 0.170, 0.078)
O (0.911, 0.930, 0.827)
O (0.925, 0.421, 0.342)
O (0.847, 0.149, 0.605)
Li (0.768, 0.329, 0.916)
O (0.810, 0.148, 0.794)
Mn (0.270, 0.890, 0.063)
O (0.296, 0.854, 0.896)
P (0.228, 0.416, 0.332)
Li (0.229, 0.673, 0.092)
O (0.585, 0.440, 0.867)
O (0.314, 0.852, 0.706)
Mn (0.738, 0.331, 0.421)
P (0.720, 0.581, 0.166)
O (0.342, 0.543, 0.397)
Mn (0.245, 0.170, 0.578)
F (0.985, 0.722, 0.500)
O (0.675, 0.634, 0.794)
O (0.670, 0.654, 0.614)
F (0.477, 0.774, 0.497)
Mn (0.272, 0.670, 0.581)
Li (0.781, 0.090, 0.413)
O (0.159, 0.546, 0.884)
Mn (0.768, 0.832, 0.425)
O (0.337, 0.343, 0.385)
Li (0.239, 0.911, 0.587)
O (0.419, 0.573, 0.146)
O (0.312, 0.358, 0.204)
F (0.470, 0.726, 0.016)
O (0.847, 0.647, 0.107)
Li (0.279, 0.178, 0.360)
Li (0.781, 0.827, 0.155)
O (0.622, 0.958, 0.125)
O (0.650, 0.145, 0.106)
O (0.163, 0.851, 0.389)
Mn (0.228, 0.406, 0.074)
O (0.188, 0.858, 0.203)
P (0.776, 0.582, 0.670)
Li (0.727, 0.836, 0.669)
Li (0.788, 0.318, 0.631)
O (0.178, 0.047, 0.392)
Li (0.203, 0.178, 0.854)
P (0.733, 0.082, 0.665)
O (0.245, 0.353, 0.706)
Li (0.299, 0.675, 0.840)
P (0.287, 0.424, 0.838)
Li (0.224, 0.683, 0.371)
O (0.674, 0.453, 0.601)
Li (0.278, 0.415, 0.594)
O (0.833, 0.456, 0.115)
O (0.583, 0.919, 0.340)
Mn (0.727, 0.092, 0.924)
O (0.162, 0.355, 0.894)
Li (0.730, 0.590, 0.414)
O (0.430, 0.075, 0.650)
O (0.743, 0.149, 0.297)

## Properties
total moment	39.00	μB per formula unit
total DFT energy (no corrections)	-6.649	eV/atom
energy of formation	-2.71	eV per atom
crystal system	triclinic